# 1
{
  "formula": "Cs4Ti3S14",
  "functional": "r2SCAN",
  "state": "optimized geometry",
  "crystal_system": "monoclinic",
  "e_form_mev_per_atom": -1178,
  "lattice_angstrom": [[4.2692, 10.7931, -0.0706], [-4.2692, 10.7931, -0.0706], [0.0000, 5.8411, 12.7328]],
  "species": ["Cs", "Cs", "Cs", "Cs", "Cs", "Cs", "Cs", "Cs", "Ti", "Ti", "Ti", "Ti", "Ti", "Ti", "S", "S", "S", "S", "S", "S", "S", "S", "S", "S", "S", "S", "S", "S", "S", "S", "S", "S", "S", "S", "S", "S", "S", "S", "S", "S", "S", "S"],
  "frac_coords": [[0.0239, 0.3847, 0.8869], [0.6153, 0.9761, 0.6131], [0.9761, 0.6153, 0.1131], [0.3847, 0.0239, 0.3869], [0.2003, 0.6741, 0.6477], [0.3259, 0.7997, 0.8523], [0.7997, 0.3259, 0.3523], [0.6741, 0.2003, 0.1477], [0.9224, 0.4124, 0.5830], [0.5876, 0.0776, 0.9170], [0.0776, 0.5876, 0.4170], [0.4124, 0.9224, 0.0830], [0.7641, 0.2359, 0.7500], [0.2359, 0.7641, 0.2500], [0.8838, 0.1969, 0.8831], [0.8031, 0.1162, 0.6169], [0.1162, 0.8031, 0.1169], [0.1969, 0.8838, 0.3831], [0.6659, 0.4727, 0.5862], [0.5273, 0.3341, 0.9138], [0.3341, 0.5273, 0.4138], [0.4727, 0.6659, 0.0862], [0.0585, 0.1119, 0.6311], [0.8881, 0.9415, 0.8689], [0.9415, 0.8881, 0.3689], [0.1119, 0.0585, 0.1311], [0.7657, 0.4260, 0.7826], [0.5740, 0.2343, 0.7174], [0.2343, 0.5740, 0.2174], [0.4260, 0.7657, 0.2826], [0.9945, 0.5627, 0.5946], [0.4373, 0.0055, 0.9054], [0.0055, 0.4373, 0.4054], [0.5627, 0.9945, 0.0946], [0.8352, 0.8214, 0.8438], [0.1786, 0.1648, 0.6562], [0.1648, 0.1786, 0.1562], [0.8214, 0.8352, 0.3438], [0.3230, 0.3840, 0.9001], [0.6160, 0.6770, 0.5999], [0.6770, 0.6160, 0.0999], [0.3840, 0.3230, 0.4001]]
}

***

# 2
{
  "formula": "Cs3VS4",
  "functional": "r2SCAN",
  "state": "optimized geometry",
  "crystal_system": "orthorhombic",
  "e_form_mev_per_atom": -1407,
  "lattice_angstrom": [[-3.5609, 7.1760, -5.6731], [-0.8811, -6.3266, -7.4495], [-10.7593, -2.5924, 3.4742]],
  "species": ["Cs", "Cs", "Cs", "Cs", "Cs", "Cs", "Cs", "Cs", "Cs", "Cs", "Cs", "Cs", "V", "V", "V", "V", "S", "S", "S", "S", "S", "S", "S", "S", "S", "S", "S", "S", "S", "S", "S", "S"],
  "frac_coords": [[0.5443, 0.2082, 0.0402], [0.0443, 0.2918, 0.4598], [0.4557, 0.7918, 0.5402], [0.9557, 0.7082, 0.9598], [0.4557, 0.7918, 0.9598], [0.9557, 0.7082, 0.5402], [0.5443, 0.2082, 0.4598], [0.0443, 0.2918, 0.0402], [0.6508, 0.4115, 0.7500], [0.1508, 0.0885, 0.7500], [0.3492, 0.5885, 0.2500], [0.8492, 0.9115, 0.2500], [0.7226, 0.9822, 0.7500], [0.2226, 0.5178, 0.7500], [0.2774, 0.0178, 0.2500], [0.7774, 0.4822, 0.2500], [0.8278, 0.0467, 0.5967], [0.3278, 0.4533, 0.9033], [0.1722, 0.9533, 0.0967], [0.6722, 0.5467, 0.4033], [0.1722, 0.9533, 0.4033], [0.6722, 0.5467, 0.0967], [0.8278, 0.0467, 0.9033], [0.3278, 0.4533, 0.5967], [0.5187, 0.0653, 0.7500], [0.0187, 0.4347, 0.7500], [0.4813, 0.9347, 0.2500], [0.9813, 0.5653, 0.2500], [0.7107, 0.7631, 0.7500], [0.2107, 0.7369, 0.7500], [0.2893, 0.2369, 0.2500], [0.7893, 0.2631, 0.2500]]
}

***

# 3
{
  "formula": "Cs3Sb5Se9",
  "functional": "r2SCAN",
  "state": "optimized geometry",
  "crystal_system": "monoclinic",
  "e_form_mev_per_atom": -684,
  "lattice_angstrom": [[13.1578, 4.8282, 0.0254], [-13.1578, 4.8282, 0.0254], [0.0000, 2.7641, 9.3260]],
  "species": ["Cs", "Cs", "Cs", "Cs", "Cs", "Cs", "Sb", "Sb", "Sb", "Sb", "Sb", "Sb", "Sb", "Sb", "Sb", "Sb", "Se", "Se", "Se", "Se", "Se", "Se", "Se", "Se", "Se", "Se", "Se", "Se", "Se", "Se", "Se", "Se", "Se", "Se"],
  "frac_coords": [[0.4199, 0.5801, 0.5000], [0.5801, 0.4199, 0.5000], [0.0128, 0.4459, 0.2400], [0.4459, 0.0128, 0.2400], [0.9872, 0.5541, 0.7600], [0.5541, 0.9872, 0.7600], [0.0377, 0.2830, 0.8389], [0.2830, 0.0377, 0.8389], [0.9623, 0.7170, 0.1611], [0.7170, 0.9623, 0.1611], [0.4241, 0.5759, 0.0000], [0.5759, 0.4241, 0.0000], [0.9257, 0.0743, 0.5000], [0.0743, 0.9257, 0.5000], [0.1255, 0.1255, 0.1188], [0.8745, 0.8745, 0.8812], [0.0009, 0.3182, 0.5961], [0.3182, 0.0009, 0.5961], [0.9991, 0.6818, 0.4039], [0.6818, 0.9991, 0.4039], [0.2495, 0.5640, 0.8436], [0.5640, 0.2495, 0.8436], [0.7505, 0.4360, 0.1564], [0.4360, 0.7505, 0.1564], [0.1289, 0.1289, 0.6240], [0.8711, 0.8711, 0.3760], [0.3691, 0.3691, 0.8746], [0.6309, 0.6309, 0.1254], [0.8063, 0.1937, 0.0000], [0.1937, 0.8063, 0.0000], [0.1546, 0.3064, 0.2296], [0.3064, 0.1546, 0.2296], [0.8454, 0.6936, 0.7704], [0.6936, 0.8454, 0.7704]]
}

***

# 4
{
  "formula": "Cs3SbSe3",
  "functional": "r2SCAN",
  "state": "optimized geometry",
  "crystal_system": "cubic",
  "e_form_mev_per_atom": -1145,
  "lattice_angstrom": [[10.7378, 0.0000, 0.0000], [0.0000, 10.7378, 0.0000], [0.0000, 0.0000, 10.7378]],
  "species": ["Cs", "Cs", "Cs", "Cs", "Cs", "Cs", "Cs", "Cs", "Cs", "Cs", "Cs", "Cs", "Sb", "Sb", "Sb", "Sb", "Se", "Se", "Se", "Se", "Se", "Se", "Se", "Se", "Se", "Se", "Se", "Se"],
  "frac_coords": [[0.1852, 0.6852, 0.8148], [0.6852, 0.8148, 0.1852], [0.8148, 0.1852, 0.6852], [0.3148, 0.3148, 0.3148], [0.9254, 0.4254, 0.0746], [0.4254, 0.0746, 0.9254], [0.0746, 0.9254, 0.4254], [0.5746, 0.5746, 0.5746], [0.6889, 0.1889, 0.3111], [0.1889, 0.3111, 0.6889], [0.3111, 0.6889, 0.1889], [0.8111, 0.8111, 0.8111], [0.4744, 0.9744, 0.5256], [0.9744, 0.5256, 0.4744], [0.5256, 0.4744, 0.9744], [0.0256, 0.0256, 0.0256], [0.0066, 0.7969, 0.0958], [0.9042, 0.5066, 0.7031], [0.2969, 0.4042, 0.9934], [0.5066, 0.7031, 0.9042], [0.4042, 0.9934, 0.2969], [0.7969, 0.0958, 0.0066], [0.9934, 0.2969, 0.4042], [0.0958, 0.0066, 0.7969], [0.7031, 0.9042, 0.5066], [0.4934, 0.2031, 0.5958], [0.5958, 0.4934, 0.2031], [0.2031, 0.5958, 0.4934]]
}

***

# 5
{
  "formula": "Cs4SiSe4",
  "functional": "r2SCAN",
  "state": "optimized geometry",
  "crystal_system": "cubic",
  "e_form_mev_per_atom": -1284,
  "lattice_angstrom": [[-4.6005, 6.7160, -11.7815], [-13.5536, -2.6961, 3.7556], [-0.4568, 12.3572, 7.2225]],
  "species": ["Cs", "Cs", "Cs", "Cs", "Cs", "Cs", "Cs", "Cs", "Cs", "Cs", "Cs", "Cs", "Cs", "Cs", "Cs", "Cs", "Cs", "Cs", "Cs", "Cs", "Cs", "Cs", "Cs", "Cs", "Cs", "Cs", "Cs", "Cs", "Cs", "Cs", "Cs", "Cs", "Si", "Si", "Si", "Si", "Si", "Si", "Si", "Si", "Se", "Se", "Se", "Se", "Se", "Se", "Se", "Se", "Se", "Se", "Se", "Se", "Se", "Se", "Se", "Se", "Se", "Se", "Se", "Se", "Se", "Se", "Se", "Se", "Se", "Se", "Se", "Se", "Se", "Se", "Se", "Se"],
  "frac_coords": [[0.3473, 0.3473, 0.3473], [0.1527, 0.8473, 0.1527], [0.8473, 0.1527, 0.1527], [0.1527, 0.1527, 0.8473], [0.3473, 0.6527, 0.6527], [0.6527, 0.6527, 0.3473], [0.6527, 0.3473, 0.6527], [0.8473, 0.8473, 0.8473], [0.3478, 0.1357, 0.0841], [0.3478, 0.8643, 0.9159], [0.1357, 0.0841, 0.3478], [0.8643, 0.0841, 0.6522], [0.0841, 0.3478, 0.1357], [0.9159, 0.6522, 0.1357], [0.1522, 0.4159, 0.6357], [0.1522, 0.5841, 0.3643], [0.8478, 0.4159, 0.3643], [0.5841, 0.3643, 0.1522], [0.3643, 0.8478, 0.4159], [0.3643, 0.1522, 0.5841], [0.4159, 0.6357, 0.1522], [0.6357, 0.1522, 0.4159], [0.4159, 0.3643, 0.8478], [0.5841, 0.6357, 0.8478], [0.6357, 0.8478, 0.5841], [0.9159, 0.3478, 0.8643], [0.0841, 0.6522, 0.8643], [0.1357, 0.9159, 0.6522], [0.8643, 0.9159, 0.3478], [0.6522, 0.8643, 0.0841], [0.6522, 0.1357, 0.9159], [0.8478, 0.5841, 0.6357], [0.0000, 0.2500, 0.5000], [0.0000, 0.7500, 0.5000], [0.5000, 0.0000, 0.7500], [0.5000, 0.0000, 0.2500], [0.7500, 0.5000, 0.0000], [0.0000, 0.0000, 0.0000], [0.5000, 0.5000, 0.5000], [0.2500, 0.5000, 0.0000], [0.1000, 0.1620, 0.5894], [0.3380, 0.6000, 0.9106], [0.4000, 0.0894, 0.3380], [0.6000, 0.0894, 0.6620], [0.0894, 0.3380, 0.4000], [0.9106, 0.6620, 0.4000], [0.1620, 0.4106, 0.9000], [0.1620, 0.5894, 0.1000], [0.8380, 0.4106, 0.1000], [0.5925, 0.5925, 0.5925], [0.1000, 0.8380, 0.4106], [0.3380, 0.4000, 0.0894], [0.4106, 0.9000, 0.1620], [0.9000, 0.1620, 0.4106], [0.4106, 0.1000, 0.8380], [0.5894, 0.9000, 0.8380], [0.9000, 0.8380, 0.5894], [0.9106, 0.3380, 0.6000], [0.0894, 0.6620, 0.6000], [0.4000, 0.9106, 0.6620], [0.6000, 0.9106, 0.3380], [0.6620, 0.6000, 0.0894], [0.6620, 0.4000, 0.9106], [0.8380, 0.5894, 0.9000], [0.9075, 0.0925, 0.9075], [0.9075, 0.9075, 0.0925], [0.0925, 0.9075, 0.9075], [0.4075, 0.4075, 0.5925], [0.5925, 0.4075, 0.4075], [0.4075, 0.5925, 0.4075], [0.0925, 0.0925, 0.0925], [0.5894, 0.1000, 0.1620]]
}

***

# 6
{
  "formula": "Cs2Si2Se5",
  "functional": "r2SCAN",
  "state": "optimized geometry",
  "crystal_system": "monoclinic",
  "e_form_mev_per_atom": -1004,
  "lattice_angstrom": [[0.1470, -11.0368, 3.8699], [5.9419, 3.4280, 9.4737], [-7.4164, 0.4888, 6.4075]],
  "species": ["Cs", "Cs", "Cs", "Cs", "Cs", "Cs", "Cs", "Cs", "Si", "Si", "Si", "Si", "Si", "Si", "Si", "Si", "Se", "Se", "Se", "Se", "Se", "Se", "Se", "Se", "Se", "Se", "Se", "Se", "Se", "Se", "Se", "Se", "Se", "Se", "Se", "Se"],
  "frac_coords": [[0.7087, 0.9807, 0.3668], [0.0193, 0.2913, 0.1332], [0.2913, 0.0193, 0.6332], [0.9807, 0.7087, 0.8668], [0.5517, 0.7078, 0.8734], [0.2922, 0.4483, 0.6266], [0.4483, 0.2922, 0.1266], [0.7078, 0.5517, 0.3734], [0.3591, 0.7686, 0.3829], [0.2314, 0.6409, 0.1171], [0.6409, 0.2314, 0.6171], [0.7686, 0.3591, 0.8829], [0.7669, 0.0366, 0.8882], [0.9634, 0.2331, 0.6118], [0.2331, 0.9634, 0.1118], [0.0366, 0.7669, 0.3882], [0.7467, 0.8708, 0.0277], [0.1292, 0.2533, 0.4723], [0.2533, 0.1292, 0.9723], [0.8708, 0.7467, 0.5277], [0.4891, 0.7477, 0.5216], [0.2523, 0.5109, 0.9784], [0.5109, 0.2523, 0.4784], [0.7477, 0.4891, 0.0216], [0.6189, 0.0527, 0.7547], [0.9473, 0.3811, 0.7453], [0.3811, 0.9473, 0.2453], [0.0527, 0.6189, 0.2547], [0.7468, 0.1814, 0.0256], [0.8186, 0.2532, 0.4744], [0.2532, 0.8186, 0.9744], [0.1814, 0.7468, 0.5256], [0.9461, 0.0539, 0.7500], [0.0539, 0.9461, 0.2500], [0.3790, 0.6210, 0.2500], [0.6210, 0.3790, 0.7500]]
}

***

# 7
{
  "formula": "Cs3VSe4",
  "functional": "r2SCAN",
  "state": "optimized geometry",
  "crystal_system": "cubic",
  "e_form_mev_per_atom": -1241,
  "lattice_angstrom": [[1.5215, 3.4952, 6.4061], [-3.5673, 4.6663, -4.5902], [-4.3138, -5.9243, 1.3654]],
  "species": ["Cs", "Cs", "Cs", "V", "Se", "Se", "Se", "Se"],
  "frac_coords": [[0.5000, 0.5000, 0.0000], [0.0000, 0.5000, 0.5000], [0.5000, 0.0000, 0.5000], [0.0000, 0.0000, 0.0000], [0.3071, 0.0000, 0.0000], [0.0000, 0.0000, 0.3071], [0.6929, 0.6929, 0.6929], [0.0000, 0.3071, 0.0000]]
}

***

# 8
{
  "formula": "Cs3Y7Se12",
  "functional": "r2SCAN",
  "state": "optimized geometry",
  "crystal_system": "orthorhombic",
  "e_form_mev_per_atom": -2125,
  "lattice_angstrom": [[-3.1968, 2.3949, -1.2080], [-4.5749, -9.6763, -7.0777], [-14.1341, -8.4384, 20.6746]],
  "species": ["Cs", "Cs", "Cs", "Cs", "Cs", "Cs", "Y", "Y", "Y", "Y", "Y", "Y", "Y", "Y", "Y", "Y", "Y", "Y", "Y", "Y", "Se", "Se", "Se", "Se", "Se", "Se", "Se", "Se", "Se", "Se", "Se", "Se", "Se", "Se", "Se", "Se", "Se", "Se", "Se", "Se", "Se", "Se", "Se", "Se"],
  "frac_coords": [[0.5000, 0.5231, 0.1274], [0.5000, 0.9689, 0.8659], [0.0000, 0.0311, 0.3659], [0.0000, 0.4769, 0.6274], [0.5000, 0.8020, 0.4753], [0.0000, 0.1980, 0.9753], [0.5000, 0.4617, 0.4155], [0.5000, 0.0370, 0.5863], [0.0000, 0.9629, 0.0863], [0.0000, 0.5383, 0.9155], [0.5000, 0.6658, 0.7884], [0.5000, 0.8326, 0.2114], [0.0000, 0.1674, 0.7114], [0.0000, 0.3342, 0.2884], [0.0000, 0.2474, 0.4994], [0.5000, 0.7526, 0.9994], [0.5000, 0.3384, 0.8153], [0.5000, 0.1643, 0.1841], [0.0000, 0.8357, 0.6841], [0.0000, 0.6616, 0.3153], [0.4999, 0.6869, 0.8964], [0.5000, 0.8134, 0.1036], [0.0000, 0.1865, 0.6036], [0.0000, 0.3131, 0.3964], [0.5001, 0.4962, 0.3029], [0.5001, 0.0040, 0.6980], [0.0000, 0.9960, 0.1980], [0.0000, 0.5038, 0.8030], [0.5000, 0.3866, 0.9199], [0.5000, 0.1151, 0.0800], [0.0000, 0.8849, 0.5800], [0.0001, 0.6133, 0.4199], [0.5000, 0.3127, 0.7101], [0.5001, 0.1886, 0.2895], [0.0000, 0.8114, 0.7895], [0.0000, 0.6873, 0.2101], [0.5000, 0.6876, 0.6811], [0.5000, 0.8116, 0.3205], [0.0000, 0.1884, 0.8205], [0.0000, 0.3125, 0.1811], [0.5000, 0.3968, 0.5164], [0.4998, 0.0940, 0.4829], [0.9999, 0.9061, 0.9829], [0.0000, 0.6032, 0.0164]]
}

***

# 9
{
  "formula": "CsYbSe2",
  "functional": "r2SCAN",
  "state": "optimized geometry",
  "crystal_system": "hexagonal",
  "e_form_mev_per_atom": -1987,
  "lattice_angstrom": [[-2.0847, -3.6107, 0.0000], [-2.0847, 3.6107, 0.0000], [0.0000, 0.0000, -16.6654]],
  "species": ["Cs", "Cs", "Yb", "Yb", "Se", "Se", "Se", "Se"],
  "frac_coords": [[0.6667, 0.3333, 0.2500], [0.3333, 0.6667, 0.7500], [0.0000, 0.0000, 0.0000], [0.0000, 0.0000, 0.5000], [0.3333, 0.6667, 0.0911], [0.6667, 0.3333, 0.5911], [0.3333, 0.6667, 0.4089], [0.6667, 0.3333, 0.9089]]
}

***

# 10
{
  "formula": "CsYb3Se4",
  "functional": "r2SCAN",
  "state": "optimized geometry",
  "crystal_system": "hexagonal",
  "e_form_mev_per_atom": -1921,
  "lattice_angstrom": [[2.0359, -3.5262, 0.0000], [2.0359, 3.5262, 0.0000], [0.0000, 0.0000, 29.5028]],
  "species": ["Cs", "Cs", "Yb", "Yb", "Yb", "Yb", "Yb", "Yb", "Se", "Se", "Se", "Se", "Se", "Se", "Se", "Se"],
  "frac_coords": [[0.6667, 0.3333, 0.2500], [0.3333, 0.6667, 0.7500], [0.6667, 0.3333, 0.6083], [0.6667, 0.3333, 0.8917], [0.3333, 0.6667, 0.3917], [0.3333, 0.6667, 0.1083], [0.0000, 0.0000, 0.5000], [0.0000, 0.0000, 0.0000], [0.0000, 0.0000, 0.1599], [0.6667, 0.3333, 0.4463], [0.0000, 0.0000, 0.6599], [0.3333, 0.6667, 0.9463], [0.3333, 0.6667, 0.5537], [0.0000, 0.0000, 0.3401], [0.6667, 0.3333, 0.0537], [0.0000, 0.0000, 0.8401]]
}